[1]
{
  "formula": "Fe23B6",
  "functional": "PBE-GGA",
  "state": "optimized geometry",
  "space_group": "Fm-3m, No. 225",
  "delta_e_f_mev_per_atom": -169,
  "lattice": [[0.000, 5.304, 5.304], [5.304, 0.000, 5.304], [5.304, 5.304, 0.000]],
  "species": ["Fe", "Fe", "Fe", "Fe", "Fe", "Fe", "Fe", "Fe", "Fe", "Fe", "Fe", "Fe", "Fe", "Fe", "Fe", "Fe", "Fe", "Fe", "Fe", "Fe", "Fe", "Fe", "Fe", "B", "B", "B", "B", "B", "B"],
  "fractional_positions": [[0.000, 0.000, 0.000], [0.000, 0.000, 0.342], [0.000, 0.000, 0.658], [0.000, 0.342, 0.000], [0.000, 0.342, 0.658], [0.000, 0.658, 0.000], [0.000, 0.658, 0.342], [0.144, 0.619, 0.619], [0.250, 0.250, 0.250], [0.342, 0.000, 0.000], [0.342, 0.000, 0.658], [0.342, 0.658, 0.000], [0.381, 0.381, 0.381], [0.381, 0.381, 0.856], [0.381, 0.856, 0.381], [0.619, 0.144, 0.619], [0.619, 0.619, 0.144], [0.619, 0.619, 0.619], [0.658, 0.000, 0.000], [0.658, 0.000, 0.342], [0.658, 0.342, 0.000], [0.750, 0.750, 0.750], [0.856, 0.381, 0.381], [0.276, 0.276, 0.724], [0.276, 0.724, 0.276], [0.276, 0.724, 0.724], [0.724, 0.276, 0.276], [0.724, 0.276, 0.724], [0.724, 0.724, 0.276]]
}

---

[2]
{
  "formula": "FeB",
  "functional": "PBE-GGA",
  "state": "optimized geometry",
  "space_group": "I4_1/amd, No. 141",
  "delta_e_f_mev_per_atom": -380,
  "lattice": [[-1.466, 1.466, 7.479], [1.466, -1.466, 7.479], [1.466, 1.466, -7.479]],
  "species": ["Fe", "Fe", "Fe", "Fe", "B", "B", "B", "B"],
  "fractional_positions": [[0.071, 0.321, 0.750], [0.321, 0.071, 0.250], [0.679, 0.929, 0.750], [0.929, 0.679, 0.250], [0.215, 0.465, 0.750], [0.465, 0.215, 0.250], [0.535, 0.785, 0.750], [0.785, 0.535, 0.250]]
}

---

[3]
{
  "formula": "Gd2Fe14B",
  "functional": "PBE-GGA",
  "state": "optimized geometry",
  "space_group": "P4_2/mnm, No. 136",
  "delta_e_f_mev_per_atom": -99,
  "lattice": [[8.734, 0.000, 0.000], [0.000, 8.734, 0.000], [0.000, 0.000, 11.957]],
  "species": ["Gd", "Gd", "Gd", "Gd", "Gd", "Gd", "Gd", "Gd", "Fe", "Fe", "Fe", "Fe", "Fe", "Fe", "Fe", "Fe", "Fe", "Fe", "Fe", "Fe", "Fe", "Fe", "Fe", "Fe", "Fe", "Fe", "Fe", "Fe", "Fe", "Fe", "Fe", "Fe", "Fe", "Fe", "Fe", "Fe", "Fe", "Fe", "Fe", "Fe", "Fe", "Fe", "Fe", "Fe", "Fe", "Fe", "Fe", "Fe", "Fe", "Fe", "Fe", "Fe", "Fe", "Fe", "Fe", "Fe", "Fe", "Fe", "Fe", "Fe", "Fe", "Fe", "Fe", "Fe", "B", "B", "B", "B"],
  "fractional_positions": [[0.143, 0.143, 0.000], [0.235, 0.235, 0.500], [0.265, 0.735, 0.000], [0.357, 0.643, 0.500], [0.643, 0.357, 0.500], [0.735, 0.265, 0.000], [0.765, 0.765, 0.500], [0.857, 0.857, 0.000], [0.000, 0.000, 0.385], [0.000, 0.000, 0.615], [0.000, 0.500, 0.000], [0.000, 0.500, 0.500], [0.036, 0.641, 0.175], [0.036, 0.641, 0.825], [0.066, 0.725, 0.374], [0.066, 0.725, 0.626], [0.097, 0.903, 0.202], [0.097, 0.903, 0.798], [0.141, 0.464, 0.325], [0.141, 0.464, 0.675], [0.184, 0.184, 0.254], [0.184, 0.184, 0.746], [0.225, 0.434, 0.126], [0.225, 0.434, 0.874], [0.275, 0.934, 0.374], [0.275, 0.934, 0.626], [0.316, 0.684, 0.246], [0.316, 0.684, 0.754], [0.359, 0.964, 0.175], [0.359, 0.964, 0.825], [0.403, 0.403, 0.298], [0.403, 0.403, 0.702], [0.434, 0.225, 0.126], [0.434, 0.225, 0.874], [0.464, 0.141, 0.325], [0.464, 0.141, 0.675], [0.500, 0.000, 0.000], [0.500, 0.000, 0.500], [0.500, 0.500, 0.115], [0.500, 0.500, 0.885], [0.536, 0.859, 0.325], [0.536, 0.859, 0.675], [0.566, 0.775, 0.126], [0.566, 0.775, 0.874], [0.597, 0.597, 0.298], [0.597, 0.597, 0.702], [0.641, 0.036, 0.175], [0.641, 0.036, 0.825], [0.684, 0.316, 0.246], [0.684, 0.316, 0.754], [0.725, 0.066, 0.374], [0.725, 0.066, 0.626], [0.775, 0.566, 0.126], [0.775, 0.566, 0.874], [0.816, 0.816, 0.254], [0.816, 0.816, 0.746], [0.859, 0.536, 0.325], [0.859, 0.536, 0.675], [0.903, 0.097, 0.202], [0.903, 0.097, 0.798], [0.934, 0.275, 0.374], [0.934, 0.275, 0.626], [0.964, 0.359, 0.175], [0.964, 0.359, 0.825], [0.125, 0.875, 0.500], [0.375, 0.375, 0.000], [0.625, 0.625, 0.000], [0.875, 0.125, 0.500]]
}